VASP calculation (PBE+U) on a relaxed Li2Fe2NiP3O12 crystal.

POSCAR file:
```
Li2Fe2NiP3O12
1.0
7.1722 -4.4560 0.0000
7.1722 4.4560 0.0000
-4.3192 0.0000 7.1484
Li Fe Ni P O
4 4 2 6 24
direct
0.0000 0.0000 0.0000 Li
0.1976 0.4016 0.6005 Li
0.5984 0.8024 0.3995 Li
0.7059 0.2941 0.5000 Li
0.0020 0.8046 0.5981 Fe
0.1954 0.9980 0.4019 Fe
0.4897 0.2986 0.1030 Fe
0.7014 0.5103 0.8970 Fe
0.3433 0.1505 0.2441 Ni
0.8495 0.6567 0.7559 Ni
0.1001 0.2113 0.8113 P
0.3018 0.6982 0.0000 P
0.4059 0.5941 0.5000 P
0.5998 0.1078 0.6972 P
0.7887 0.8999 0.1887 P
0.8922 0.4002 0.3028 P
0.0348 0.0550 0.7829 O
0.0878 0.2504 0.3124 O
0.1047 0.7159 0.8507 O
0.1675 0.1805 0.6542 O
0.2520 0.6209 0.5664 O
0.2536 0.2287 0.0059 O
0.2841 0.8953 0.1493 O
0.3462 0.5435 0.0754 O
0.3791 0.7480 0.4336 O
0.4287 0.3946 0.3504 O
0.4474 0.0836 0.5011 O
0.4565 0.6538 0.9246 O
0.5334 0.1648 0.8629 O
0.6000 0.0629 0.1863 O
0.6054 0.5713 0.6496 O
0.6679 0.2595 0.7183 O
0.7405 0.3321 0.2817 O
0.7496 0.9122 0.6876 O
0.7713 0.7464 0.9941 O
0.8195 0.8325 0.3458 O
0.8352 0.4666 0.1371 O
0.9164 0.5526 0.4989 O
0.9371 0.4000 0.8137 O
0.9450 0.9652 0.2171 O
```

Output
ρ ... 3.41 g/cm³
E_form ... -2.332 eV per atom
Magnetic moment ... 0.55 μB/atom

***

VASP calculation (PBE+U) on a relaxed Nd2Mo4O15 crystal.

POSCAR file:
```
Nd2Mo4O15
1.0
9.6245 0.0000 0.0000
-3.6255 10.6203 0.0000
-3.9174 -4.4452 10.1782
Nd Mo O
6 12 45
direct
0.1675 0.3426 0.2025 Nd
0.2671 0.7766 0.8255 Nd
0.2827 0.9433 0.4092 Nd
0.7173 0.0567 0.5908 Nd
0.7329 0.2234 0.1745 Nd
0.8325 0.6574 0.7975 Nd
0.0261 0.4368 0.8690 Mo
0.0836 0.2226 0.4805 Mo
0.2329 0.0169 0.0785 Mo
0.4065 0.4642 0.8187 Mo
0.4168 0.6911 0.5518 Mo
0.4325 0.1319 0.7966 Mo
0.5675 0.8681 0.2034 Mo
0.5832 0.3089 0.4482 Mo
0.5935 0.5358 0.1813 Mo
0.7671 0.9831 0.9215 Mo
0.9164 0.7774 0.5195 Mo
0.9739 0.5632 0.1310 Mo
0.0265 0.2685 0.3411 O
0.0485 0.5744 0.8063 O
0.0837 0.8377 0.4817 O
0.0888 0.4456 0.0424 O
0.1150 0.8565 0.9319 O
0.1551 0.0965 0.4478 O
0.1609 0.7118 0.2450 O
0.1653 0.1443 0.0572 O
0.1754 0.3914 0.8385 O
0.2156 0.9827 0.2151 O
0.2514 0.3771 0.6214 O
0.2808 0.6936 0.6243 O
0.2827 0.9894 0.7981 O
0.3112 0.5398 0.4046 O
0.3519 0.2560 0.7796 O
0.3830 0.7917 0.0541 O
0.3856 0.6164 0.8325 O
0.3967 0.3021 0.3395 O
0.4117 0.4956 0.1991 O
0.4425 0.0797 0.1072 O
0.4661 0.8437 0.5138 O
0.4679 0.0695 0.6574 O
0.5000 0.5000 0.0000 O
0.5321 0.9305 0.3426 O
0.5339 0.1563 0.4862 O
0.5575 0.9203 0.8928 O
0.5883 0.5044 0.8009 O
0.6033 0.6979 0.6605 O
0.6144 0.3836 0.1675 O
0.6170 0.2083 0.9459 O
0.6481 0.7440 0.2204 O
0.6888 0.4602 0.5954 O
0.7173 0.0106 0.2019 O
0.7192 0.3064 0.3757 O
0.7486 0.6229 0.3786 O
0.7844 0.0173 0.7849 O
0.8246 0.6086 0.1615 O
0.8347 0.8557 0.9428 O
0.8391 0.2882 0.7550 O
0.8449 0.9035 0.5522 O
0.8850 0.1435 0.0681 O
0.9112 0.5544 0.9576 O
0.9163 0.1623 0.5183 O
0.9515 0.4256 0.1937 O
0.9735 0.7315 0.6589 O
```

Output
ρ ... 4.37 g/cm³
E_form ... -2.500 eV per atom
Energy above the most stable polymorph in this dataset ... 0.000 eV per atom

***

VASP calculation (PBE+U) on a relaxed Ca7MgTiMn7O24 crystal.

POSCAR file:
```
Ca7MgTiMn7O24
1.0
5.3850 3.1091 4.3961
-5.3850 3.1091 4.3961
0.0000 -6.2181 4.3961
Ca Mg Ti Mn O
7 1 1 7 24
direct
0.0000 0.0000 0.0000 Ca
0.0000 0.0000 0.5017 Ca
0.0000 0.5017 0.0000 Ca
0.9999 0.5017 0.5017 Ca
0.5017 0.0000 0.0000 Ca
0.5017 0.9999 0.5017 Ca
0.5017 0.5017 0.9999 Ca
0.5017 0.5017 0.5017 Mg
0.2514 0.2514 0.2514 Ti
0.2511 0.2511 0.7506 Mn
0.2512 0.7505 0.7505 Mn
0.2511 0.7507 0.2511 Mn
0.7505 0.2512 0.7505 Mn
0.7505 0.7505 0.2512 Mn
0.7505 0.7505 0.7505 Mn
0.7506 0.2511 0.2511 Mn
0.0006 0.2509 0.7508 O
0.0006 0.7508 0.2509 O
0.0007 0.7508 0.7508 O
0.2509 0.0006 0.7508 O
0.2509 0.2509 0.9980 O
0.2509 0.7508 0.0006 O
0.2509 0.9980 0.2509 O
0.2516 0.2516 0.5037 O
0.2519 0.5011 0.7497 O
0.2516 0.5037 0.2516 O
0.2519 0.7497 0.5011 O
0.5011 0.2519 0.7497 O
0.5011 0.7497 0.2519 O
0.5009 0.7498 0.7498 O
0.5037 0.2516 0.2516 O
0.7497 0.2519 0.5011 O
0.7497 0.5011 0.2519 O
0.7498 0.5009 0.7498 O
0.7498 0.7498 0.5009 O
0.7508 0.0006 0.2509 O
0.7508 0.0007 0.7508 O
0.7508 0.2509 0.0006 O
0.7508 0.7508 0.0007 O
0.9980 0.2509 0.2509 O
```

Output
ρ ... 4.22 g/cm³
E_form ... -2.492 eV per atom
Magnetic moment ... 0.53 μB/atom

***

VASP calculation (PBE+U) on a relaxed Li9Mn2Co5O16 crystal.

POSCAR file:
```
Li9Mn2Co5O16
1.0
2.9443 0.0000 0.0000
-0.0576 9.9919 0.0000
-1.4605 -2.9966 9.8333
Li Mn Co O
9 2 5 16
direct
0.0000 0.0000 0.0000 Li
0.0620 0.2967 0.1242 Li
0.1883 0.9496 0.3780 Li
0.3105 0.5633 0.6218 Li
0.4573 0.1677 0.8820 Li
0.5427 0.8323 0.1180 Li
0.6895 0.4367 0.3782 Li
0.8117 0.0504 0.6220 Li
0.9380 0.7033 0.8758 Li
0.1163 0.6250 0.2487 Mn
0.8837 0.3750 0.7513 Mn
0.2455 0.2457 0.4854 Co
0.3906 0.8865 0.7676 Co
0.5000 0.5000 0.0000 Co
0.6094 0.1135 0.2324 Co
0.7545 0.7543 0.5146 Co
0.0298 0.6333 0.0598 O
0.0878 0.9742 0.1935 O
0.1603 0.2833 0.3223 O
0.2061 0.6008 0.4256 O
0.2806 0.8953 0.5595 O
0.3558 0.2429 0.6965 O
0.4176 0.5117 0.8148 O
0.4638 0.8391 0.9247 O
0.5362 0.1609 0.0753 O
0.5824 0.4883 0.1852 O
0.6442 0.7571 0.3035 O
0.7194 0.1047 0.4405 O
0.7939 0.3992 0.5744 O
0.8397 0.7167 0.6777 O
0.9122 0.0258 0.8065 O
0.9702 0.3667 0.9402 O
```

Output
ρ ... 4.15 g/cm³
E_form ... -1.775 eV per atom
Energy above the most stable polymorph in this dataset ... 0.089 eV per atom
Magnetic moment ... 0.31 μB/atom

***

VASP calculation (PBE+U) on a relaxed MgMn4O8 crystal.

POSCAR file:
```
MgMn4O8
1.0
7.1199 -1.4898 0.0000
7.1199 1.4898 0.0000
-6.2005 0.0000 7.1378
Mg Mn O
1 4 8
direct
0.0000 0.0000 0.0000 Mg
0.1931 0.1931 0.0093 Mn
0.4999 0.4999 0.6444 Mn
0.7042 0.7042 0.3664 Mn
0.9844 0.9844 0.2945 Mn
0.1216 0.1216 0.7535 O
0.1729 0.1729 0.4638 O
0.1966 0.1966 0.2212 O
0.4816 0.4816 0.4217 O
0.4977 0.4977 0.1478 O
0.5482 0.5482 0.9012 O
0.8033 0.8033 0.0900 O
0.8858 0.8858 0.5617 O
```

Output
ρ ... 4.08 g/cm³
E_form ... -1.986 eV per atom
Energy above the most stable polymorph in this dataset ... 0.084 eV per atom
Magnetic moment ... 1.08 μB/atom

***

VASP calculation (PBE+U) on a relaxed SrCa3Mn2O8 crystal.

POSCAR file:
```
SrCa3Mn2O8
1.0
0.1156 -4.5445 2.8008
5.2415 0.6275 0.8019
0.3866 4.2308 11.9387
O Sr Mn Ca
16 2 4 6
direct
0.9192 0.9192 0.1615 O
0.6676 0.1676 0.6647 O
0.1676 0.6676 0.6647 O
0.9986 0.9986 0.5029 O
0.5828 0.5828 0.8344 O
0.4986 0.9985 0.5029 O
0.8279 0.3279 0.3442 O
0.3279 0.8279 0.3442 O
0.9986 0.4986 0.5029 O
0.2537 0.7537 0.9927 O
0.7537 0.2537 0.9927 O
0.7537 0.7537 0.9927 O
0.2537 0.2537 0.9927 O
0.4986 0.4986 0.5029 O
0.4192 0.4192 0.1615 O
0.0828 0.0828 0.8345 O
0.9270 0.4270 0.1460 Sr
0.4270 0.9270 0.1460 Sr
0.5025 0.5025 0.9950 Mn
0.0025 0.0025 0.9950 Mn
0.2480 0.7480 0.5040 Mn
0.7480 0.2480 0.5040 Mn
0.0735 0.5735 0.8530 Ca
0.6768 0.6768 0.6464 Ca
0.5735 0.0735 0.8530 Ca
0.1768 0.1768 0.6464 Ca
0.3202 0.3202 0.3595 Ca
0.8202 0.8202 0.3595 Ca
```

Output
ρ ... 4.29 g/cm³
E_form ... -2.721 eV per atom
Magnetic moment ... 0.00 μB/atom

***

VASP calculation (PBE+U) on a relaxed LiVF3 crystal.

POSCAR file:
```
LiVF3
1.0
5.3724 0.0000 0.0000
0.0000 5.0112 0.0000
0.0000 0.0000 8.9088
Li V F
4 4 12
direct
0.2500 0.0000 0.1895 Li
0.2500 0.5000 0.3105 Li
0.7500 0.0000 0.8105 Li
0.7500 0.5000 0.6895 Li
0.2500 0.0000 0.5946 V
0.2500 0.5000 0.9054 V
0.7500 0.0000 0.4054 V
0.7500 0.5000 0.0946 V
0.0524 0.2500 0.7500 F
0.0850 0.2179 0.4145 F
0.0850 0.2821 0.0855 F
0.4150 0.7179 0.0855 F
0.4150 0.7821 0.4145 F
0.4476 0.7500 0.7500 F
0.5524 0.2500 0.2500 F
0.5850 0.2179 0.5855 F
0.5850 0.2821 0.9145 F
0.9150 0.7179 0.9145 F
0.9150 0.7821 0.5855 F
0.9476 0.7500 0.2500 F
```

Output
ρ ... 3.18 g/cm³
E_form ... -3.037 eV per atom
Energy above the most stable polymorph in this dataset ... 0.009 eV per atom
Magnetic moment ... 0.60 μB/atom

***

VASP calculation (PBE+U) on a relaxed Li3Mn2P5O16 crystal.

POSCAR file:
```
Li3Mn2P5O16
1.0
5.1019 0.0000 0.0000
0.0000 7.0719 0.0000
-0.9482 0.0000 18.2635
Li Mn P O
6 4 10 32
direct
0.0000 0.0220 0.2500 Li
0.0000 0.9780 0.7500 Li
0.2440 0.3375 0.9641 Li
0.2440 0.6625 0.4641 Li
0.7560 0.3375 0.5359 Li
0.7560 0.6625 0.0359 Li
0.2289 0.1665 0.4128 Mn
0.2289 0.8335 0.9128 Mn
0.7711 0.1665 0.0872 Mn
0.7711 0.8335 0.5872 Mn
0.2405 0.4698 0.1246 P
0.2405 0.5302 0.6246 P
0.2701 0.1325 0.5894 P
0.2701 0.8675 0.0894 P
0.5000 0.2442 0.2500 P
0.5000 0.7558 0.7500 P
0.7299 0.1325 0.9106 P
0.7299 0.8675 0.4106 P
0.7595 0.4698 0.3754 P
0.7595 0.5302 0.8754 P
0.0510 0.4481 0.3927 O
0.0510 0.5519 0.8927 O
0.1065 0.2053 0.5221 O
0.1065 0.7947 0.0221 O
0.1272 0.0157 0.1332 O
0.1272 0.9843 0.6332 O
0.3017 0.3149 0.6455 O
0.3017 0.6851 0.1455 O
0.3100 0.3845 0.2044 O
0.3100 0.6155 0.7044 O
0.3217 0.1359 0.2979 O
0.3217 0.8641 0.7979 O
0.4191 0.3913 0.0683 O
0.4191 0.6087 0.5683 O
0.4461 0.0904 0.9285 O
0.4461 0.9096 0.4285 O
0.5539 0.0904 0.5715 O
0.5539 0.9096 0.0715 O
0.5809 0.3913 0.4317 O
0.5809 0.6087 0.9317 O
0.6783 0.1359 0.2021 O
0.6783 0.8641 0.7021 O
0.6900 0.3845 0.2956 O
0.6900 0.6155 0.7956 O
0.6983 0.3149 0.8545 O
0.6983 0.6851 0.3545 O
0.8728 0.0157 0.3668 O
0.8728 0.9843 0.8668 O
0.8935 0.2053 0.9779 O
0.8935 0.7947 0.4779 O
0.9490 0.4481 0.1073 O
0.9490 0.5519 0.6073 O
```

Output
ρ ... 2.73 g/cm³
E_form ... -2.639 eV per atom
Magnetic moment ... 0.38 μB/atom

***

VASP calculation (PBE+U) on a relaxed VP3O9 crystal.

POSCAR file:
```
VP3O9
1.0
8.5557 0.0000 0.0000
0.0000 8.5984 0.0000
0.0000 0.0000 8.7154
V P O
4 12 36
direct
0.1295 0.1440 0.1558 V
0.3705 0.8560 0.6558 V
0.6295 0.3560 0.8442 V
0.8705 0.6440 0.3442 V
0.0334 0.6774 0.6867 P
0.1862 0.5156 0.1895 P
0.2018 0.1908 0.5543 P
0.2982 0.8092 0.0543 P
0.3138 0.4844 0.6895 P
0.4666 0.3226 0.1867 P
0.5334 0.8226 0.3133 P
0.6862 0.9844 0.8105 P
0.7018 0.3092 0.4457 P
0.7982 0.6908 0.9457 P
0.8138 0.0156 0.3105 P
0.9666 0.1774 0.8133 P
0.0452 0.2197 0.6518 O
0.0902 0.1265 0.9234 O
0.1038 0.3757 0.1248 O
0.1048 0.5992 0.3188 O
0.1381 0.8093 0.6412 O
0.1399 0.5306 0.7415 O
0.1535 0.1582 0.3927 O
0.1908 0.9183 0.1371 O
0.2214 0.6373 0.0538 O
0.2786 0.3627 0.5538 O
0.3092 0.0817 0.6371 O
0.3465 0.8418 0.8927 O
0.3601 0.4694 0.2415 O
0.3619 0.1907 0.1412 O
0.3952 0.4008 0.8188 O
0.3962 0.6243 0.6248 O
0.4098 0.8735 0.4234 O
0.4548 0.7803 0.1518 O
0.5452 0.2803 0.3482 O
0.5902 0.3735 0.0766 O
0.6038 0.1243 0.8752 O
0.6048 0.9008 0.6812 O
0.6381 0.6907 0.3588 O
0.6399 0.9694 0.2585 O
0.6535 0.3418 0.6073 O
0.6908 0.5817 0.8629 O
0.7214 0.8627 0.9462 O
0.7786 0.1373 0.4462 O
0.8092 0.4183 0.3629 O
0.8465 0.6582 0.1073 O
0.8601 0.0306 0.7585 O
0.8619 0.3093 0.8588 O
0.8952 0.0992 0.1812 O
0.8962 0.8757 0.3752 O
0.9098 0.6265 0.5766 O
0.9548 0.7197 0.8482 O
```

Output
ρ ... 2.98 g/cm³
E_form ... -2.638 eV per atom
Energy above the most stable polymorph in this dataset ... 0.015 eV per atom
Magnetic moment ... 0.15 μB/atom

***

VASP calculation (PBE+U) on a relaxed Ga2NiO4 crystal.

POSCAR file:
```
Ga2NiO4
1.0
-2.9314 5.0773 0.0000
2.9885 1.7254 4.8802
5.8909 3.4011 -4.8099
O Ga Ni
16 8 4
direct
0.0000 0.7421 0.8631 O
0.2351 0.0000 0.6238 O
0.2649 0.0000 0.1262 O
0.5000 0.7421 0.8869 O
0.0000 0.2421 0.3869 O
0.5000 0.7579 0.3631 O
0.7351 0.0000 0.1262 O
0.5000 0.2421 0.3631 O
0.0000 0.2579 0.8631 O
0.7649 0.0000 0.6238 O
0.5000 0.2579 0.8869 O
0.2351 0.5000 0.6262 O
0.0000 0.7579 0.3869 O
0.7649 0.5000 0.6262 O
0.2649 0.5000 0.1238 O
0.7351 0.5000 0.1238 O
0.5000 0.2500 0.1250 Ga
0.5000 0.5000 0.4923 Ga
0.0000 0.0000 0.9923 Ga
0.0000 0.5000 0.2577 Ga
0.5000 0.0000 0.7577 Ga
0.5000 0.7500 0.1250 Ga
0.0000 0.2500 0.6250 Ga
0.0000 0.7500 0.6250 Ga
0.7500 0.5000 0.8750 Ni
0.2500 0.0000 0.3750 Ni
0.2500 0.5000 0.8750 Ni
0.7500 0.0000 0.3750 Ni
```

Output
ρ ... 5.96 g/cm³
E_form ... -2.010 eV per atom
Energy above the most stable polymorph in this dataset ... 0.000 eV per atom

***

| no. | energy with MP2020 corrections (eV per atom) |
| --- | --- |
| 1 | -7.440 |
| 2 | -8.554 |
| 3 | -7.652 |
| 4 | -6.469 |
| 5 | -7.973 |
| 6 | -7.407 |
| 7 | -6.384 |
| 8 | -7.650 |
| 9 | -8.012 |
| 10 | -6.529 |